First-principles (GGA-PBE) data for LaSb3O9 after structural relaxation, as listed in the Materials Project database.

Cell: 5.5880 5.5880 11.9126 Å, 90.00 90.00 107.13°
Closest atoms and distances in Å follow each position.
Positions (direct):
La1 0.2454 0.7546 0.7500  7 O 2.44-2.72
La2 0.7546 0.2454 0.2500  7 O 2.44-2.72
Sb1 0.1216 0.8784 0.0917  6 O 1.95-2.04
Sb2 0.1216 0.8784 0.4083  6 O 1.95-2.04
Sb3 0.5000 0.5000 0.0000  6 O 2.02-2.03
Sb4 0.5000 0.5000 0.5000  6 O 2.02-2.03
Sb5 0.8784 0.1216 0.5917  6 O 1.95-2.04
Sb6 0.8784 0.1216 0.9083  6 O 1.95-2.04
O1 0.0566 0.9434 0.2500  2 Sb 1.97
O2 0.1041 0.8959 0.5747  2 Sb 1.99-2.04
O3 0.1041 0.8959 0.9253  2 Sb 1.99-2.04
O4 0.1924 0.4180 0.5999  2 Sb 2.03
O5 0.1924 0.4180 0.9001  2 Sb 2.03
O6 0.3365 0.6635 0.1167  2 Sb 1.95-2.02
O7 0.3365 0.6635 0.3833  2 Sb 1.95-2.02
O8 0.4180 0.1924 0.0999  2 Sb 2.03
O9 0.4180 0.1924 0.4001  2 Sb 2.03
O10 0.5820 0.8076 0.5999  2 Sb 2.03
O11 0.5820 0.8076 0.9001  2 Sb 2.03
O12 0.6635 0.3365 0.6167  2 Sb 1.95-2.02
O13 0.6635 0.3365 0.8833  2 Sb 1.95-2.02
O14 0.8076 0.5820 0.0999  2 Sb 2.03
O15 0.8076 0.5820 0.4001  2 Sb 2.03
O16 0.8959 0.1041 0.0747  2 Sb 1.99-2.04
O17 0.8959 0.1041 0.4253  2 Sb 1.99-2.04
O18 0.9434 0.0566 0.7500  2 Sb 1.97

**Symmetry**: Cmcm, No. 63
**Formation energy from the elements**: -2.31 eV/atom
**E**: -6.594 eV per atom

=====

First-principles (GGA-PBE) data for LaSbO4 after structural relaxation, as listed in the Materials Project database.

Cell: 5.4392 5.1588 13.7186 Å, 90.00 109.21 90.00°
Closest atoms and distances in Å follow each position.
Positions (direct):
La1 0.1572 0.1957 0.1645  6 O 2.39-2.55
La2 0.1572 0.3043 0.6645  6 O 2.39-2.55
La3 0.8428 0.6957 0.3355  6 O 2.39-2.55
La4 0.8428 0.8043 0.8355  6 O 2.39-2.55
Sb1 0.4176 0.2483 0.4307  6 O 1.96-2.09
Sb2 0.4176 0.2517 0.9307  6 O 1.96-2.09
Sb3 0.5824 0.7483 0.0693  6 O 1.96-2.09
Sb4 0.5824 0.7517 0.5693  6 O 1.96-2.09
O1 0.0886 0.1148 0.3321  1 Sb 1.98
O2 0.0886 0.3852 0.8321  1 Sb 1.98
O3 0.2524 0.5599 0.4746  2 Sb 2.03-2.09
O4 0.2524 0.9401 0.9746  2 Sb 2.03-2.09
O5 0.3609 0.0700 0.5562  2 Sb 2.01-2.06
O6 0.3609 0.4300 0.0562  2 Sb 2.01-2.06
O7 0.4880 0.0992 0.8117  1 Sb 1.96
O8 0.4880 0.4008 0.3117  1 Sb 1.96
O9 0.5120 0.5992 0.6883  1 Sb 1.96
O10 0.5120 0.9008 0.1883  1 Sb 1.96
O11 0.6391 0.5700 0.9438  2 Sb 2.01-2.06
O12 0.6391 0.9300 0.4438  2 Sb 2.01-2.06
O13 0.7476 0.0599 0.0254  2 Sb 2.03-2.09
O14 0.7476 0.4401 0.5254  2 Sb 2.03-2.09
O15 0.9114 0.6148 0.1679  1 Sb 1.98
O16 0.9114 0.8852 0.6679  1 Sb 1.98

**Symmetry**: P2_1/c, No. 14
**Formation energy from the elements**: -2.85 eV/atom
**E**: -7.202 eV per atom

=====

First-principles (GGA-PBE) data for La2SbO6 after structural relaxation, as listed in the Materials Project database.

Cell: 5.8084 6.2561 9.4637 Å, 90.00 121.88 90.00°
Closest atoms and distances in Å follow each position.
Positions (direct):
La1 0.2074 0.0816 0.2437  6 O 2.42-2.69
La2 0.2074 0.4184 0.7437  6 O 2.42-2.69
La3 0.7926 0.5816 0.2563  6 O 2.42-2.69
La4 0.7926 0.9184 0.7563  6 O 2.42-2.69
Sb1 0.5000 0.0000 0.0000  6 O 1.99-2.03
Sb2 0.5000 0.5000 0.5000  6 O 1.99-2.03
O1 0.1592 0.1548 0.9422  1 Sb 2.00
O2 0.1592 0.3452 0.4422  1 Sb 2.00
O3 0.2807 0.7263 0.9224  1 Sb 2.03
O4 0.2807 0.7737 0.4224  1 Sb 2.03
O5 0.4231 0.0646 0.7734  1 Sb 1.99
O6 0.4231 0.4354 0.2734  1 Sb 1.99
O7 0.5769 0.5646 0.7266  1 Sb 1.99
O8 0.5769 0.9354 0.2266  1 Sb 1.99
O9 0.7193 0.2263 0.5776  1 Sb 2.03
O10 0.7193 0.2737 0.0776  1 Sb 2.03
O11 0.8408 0.6548 0.5578  1 Sb 2.00
O12 0.8408 0.8452 0.0578  1 Sb 2.00

**Magnetization**: 1.00 μB/f.u.
**Symmetry**: P2_1/c, No. 14
**Formation energy from the elements**: -2.90 eV/atom
**E**: -7.294 eV per atom

=====

First-principles (GGA-PBE) data for Sr2LaSbO6 after structural relaxation, as listed in the Materials Project database.

Cell: 5.9809 6.1074 10.3334 Å, 90.00 124.50 90.00°
Closest atoms and distances in Å follow each position.
Positions (direct):
Sr1 0.2326 0.0429 0.2493  6 O 2.54-2.76
Sr2 0.2326 0.4571 0.7493  6 O 2.54-2.76
Sr3 0.7674 0.5429 0.2507  6 O 2.54-2.76
Sr4 0.7674 0.9571 0.7507  6 O 2.54-2.76
La1 0.5000 0.0000 0.0000  6 O 2.37-2.42
La2 0.5000 0.5000 0.5000  6 O 2.37-2.42
Sb1 0.0000 0.0000 0.5000  6 O 2.03-2.04
Sb2 0.0000 0.5000 0.0000  6 O 2.03-2.04
O1 0.1282 0.2343 0.9386  1 Sb 2.04
O2 0.1282 0.2657 0.4386  1 Sb 2.04
O3 0.2136 0.6975 0.9491  1 Sb 2.03
O4 0.2136 0.8025 0.4491  1 Sb 2.03
O5 0.3285 0.0392 0.7258  1 Sb 2.04
O6 0.3285 0.4608 0.2258  1 Sb 2.04
O7 0.6715 0.5392 0.7742  1 Sb 2.04
O8 0.6715 0.9608 0.2742  1 Sb 2.04
O9 0.7864 0.1975 0.5509  1 Sb 2.03
O10 0.7864 0.3025 0.0509  1 Sb 2.03
O11 0.8718 0.7343 0.5614  1 Sb 2.04
O12 0.8718 0.7657 0.0614  1 Sb 2.04

**Magnetization**: 0.01 μB/f.u.
**Symmetry**: P2_1/c, No. 14
**Formation energy from the elements**: -3.05 eV/atom
**E**: -6.846 eV per atom

=====

First-principles (GGA-PBE) data for Sr2LaSbO6 after structural relaxation, as listed in the Materials Project database.

Cell: 6.1105 6.1105 6.1105 Å, 60.00 60.00 60.00°
Closest atoms and distances in Å follow each position.
Positions (direct):
Sr1 0.2500 0.2500 0.2500  12 O 3.06
Sr2 0.7500 0.7500 0.7500  12 O 3.06
La1 0.0000 0.0000 0.0000  6 O 2.32
Sb1 0.5000 0.5000 0.5000  6 O 2.00
O1 0.2687 0.2687 0.7313  1 Sb 2.00
O2 0.2687 0.7313 0.2687  1 Sb 2.00
O3 0.2687 0.7313 0.7313  1 Sb 2.00
O4 0.7313 0.2687 0.2687  1 Sb 2.00
O5 0.7313 0.2687 0.7313  1 Sb 2.00
O6 0.7313 0.7313 0.2687  1 Sb 2.00

**Magnetization**: 0.00 μB/f.u.
**Symmetry**: Fm-3m, No. 225
**Formation energy from the elements**: -2.95 eV/atom
**E**: -6.753 eV per atom

=====

First-principles (GGA-PBE) data for Sr2LaSbO6 after structural relaxation, as listed in the Materials Project database.

Cell: 8.5399 8.5399 8.5399 Å, 90.00 90.00 90.00°
Closest atoms and distances in Å follow each position.
Positions (direct):
Sr1 0.2500 0.2500 0.2500  12 O 3.02
Sr2 0.2500 0.2500 0.7500  4 O 2.55
Sr3 0.2500 0.7500 0.2500  4 O 2.55
Sr4 0.2500 0.7500 0.7500  4 O 2.55
Sr5 0.7500 0.2500 0.2500  4 O 2.55
Sr6 0.7500 0.2500 0.7500  4 O 2.55
Sr7 0.7500 0.7500 0.2500  4 O 2.55
Sr8 0.7500 0.7500 0.7500  12 O 3.02
La1 0.0000 0.0000 0.0000  6 O 2.36
La2 0.0000 0.5000 0.5000  6 O 2.36
La3 0.5000 0.0000 0.5000  6 O 2.36
La4 0.5000 0.5000 0.0000  6 O 2.36
Sb1 0.0000 0.0000 0.5000  6 O 2.02
Sb2 0.0000 0.5000 0.0000  6 O 2.02
Sb3 0.5000 0.0000 0.0000  6 O 2.02
Sb4 0.5000 0.5000 0.5000  6 O 2.02
O1 0.0356 0.5430 0.7702  1 Sb 2.02
O2 0.0356 0.9570 0.7298  1 Sb 2.02
O3 0.0430 0.2298 0.5356  1 Sb 2.02
O4 0.0430 0.2702 0.9644  1 Sb 2.02
O5 0.2298 0.5356 0.0430  1 Sb 2.02
O6 0.2298 0.9644 0.4570  1 Sb 2.02
O7 0.2702 0.5356 0.4570  1 Sb 2.02
O8 0.2702 0.9644 0.0430  1 Sb 2.02
O9 0.4570 0.2298 0.9644  1 Sb 2.02
O10 0.4570 0.2702 0.5356  1 Sb 2.02
O11 0.4644 0.5430 0.7298  1 Sb 2.02
O12 0.4644 0.9570 0.7702  1 Sb 2.02
O13 0.5356 0.0430 0.2298  1 Sb 2.02
O14 0.5356 0.4570 0.2702  1 Sb 2.02
O15 0.5430 0.7298 0.4644  1 Sb 2.02
O16 0.5430 0.7702 0.0356  1 Sb 2.02
O17 0.7298 0.0356 0.9570  1 Sb 2.02
O18 0.7298 0.4644 0.5430  1 Sb 2.02
O19 0.7702 0.0356 0.5430  1 Sb 2.02
O20 0.7702 0.4644 0.9570  1 Sb 2.02
O21 0.9570 0.7298 0.0356  1 Sb 2.02
O22 0.9570 0.7702 0.4644  1 Sb 2.02
O23 0.9644 0.0430 0.2702  1 Sb 2.02
O24 0.9644 0.4570 0.2298  1 Sb 2.02

**Magnetization**: 0.00 μB/f.u.
**Symmetry**: Pn-3, No. 201
**Formation energy from the elements**: -3.01 eV/atom
**E**: -6.814 eV per atom

=====

First-principles (GGA-PBE) data for La2ZnSbO6 after structural relaxation, as listed in the Materials Project database.

Cell: 5.7769 5.7769 5.7769 Å, 61.07 61.07 61.07°
Closest atoms and distances in Å follow each position.
Positions (direct):
La1 0.2504 0.2504 0.2504  3 O 2.37
La2 0.7496 0.7496 0.7496  3 O 2.37
Zn1 0.0000 0.0000 0.0000  6 O 2.14
Sb1 0.5000 0.5000 0.5000  6 O 2.13
O1 0.1541 0.3468 0.7472  1 Sb 2.13, 1 Zn 2.14, 1 La 2.37
O2 0.2528 0.8459 0.6532  1 Sb 2.13, 1 Zn 2.14, 1 La 2.37
O3 0.3468 0.7472 0.1541  1 Sb 2.13, 1 Zn 2.14, 1 La 2.37
O4 0.6532 0.2528 0.8459  1 Sb 2.13, 1 Zn 2.14, 1 La 2.37
O5 0.7472 0.1541 0.3468  1 Sb 2.13, 1 Zn 2.14, 1 La 2.37
O6 0.8459 0.6532 0.2528  1 Sb 2.13, 1 Zn 2.14, 1 La 2.37

**Magnetization**: 0.01 μB/f.u.
**Symmetry**: R-3, No. 148
**Formation energy from the elements**: -2.75 eV/atom
**E**: -6.829 eV per atom

=====

First-principles (GGA-PBE) data for LaZnSbO after structural relaxation, as listed in the Materials Project database.

Cell: 4.2463 4.2463 9.6661 Å, 90.00 90.00 90.00°
Closest atoms and distances in Å follow each position.
Positions (direct):
La1 0.2500 0.2500 0.1193  4 O 2.42
La2 0.7500 0.7500 0.8807  4 O 2.42
Zn1 0.2500 0.7500 0.5000  4 Sb 2.75, 4 Zn 3.00
Zn2 0.7500 0.2500 0.5000  4 Sb 2.75, 4 Zn 3.00
Sb1 0.2500 0.2500 0.6802  4 Zn 2.75
Sb2 0.7500 0.7500 0.3199  4 Zn 2.75
O1 0.2500 0.7500 0.0000  4 La 2.42
O2 0.7500 0.2500 0.0000  4 La 2.42

**Magnetization**: 0.00 μB/f.u.
**Symmetry**: P4/nmm, No. 129
**Formation energy from the elements**: -1.93 eV/atom
**E**: -5.580 eV per atom